The following is a r²SCAN calculation of CeNi12B6 after structural relaxation, from the Materials Project database.

## Properties
- Space-group type: P2_1, No. 4
- Magnetic moment: 0.9 μB per formula unit

```
CeNi12B6
1.0
6.001 0.000 0.000
0.000 10.968 0.000
-1.528 0.000 5.806
Ce Ni B
2 24 12
direct
0.168 0.000 0.168 Ce
0.832 0.500 0.832 Ce
0.007 0.560 0.371 Ni
0.121 0.742 0.853 Ni
0.147 0.242 0.879 Ni
0.196 0.763 0.461 Ni
0.210 0.223 0.474 Ni
0.223 0.399 0.223 Ni
0.274 0.430 0.657 Ni
0.344 0.930 0.727 Ni
0.370 0.560 0.007 Ni
0.432 0.581 0.432 Ni
0.461 0.763 0.196 Ni
0.473 0.222 0.211 Ni
0.527 0.722 0.789 Ni
0.539 0.263 0.804 Ni
0.568 0.081 0.568 Ni
0.630 0.060 0.993 Ni
0.656 0.430 0.273 Ni
0.726 0.930 0.343 Ni
0.777 0.899 0.777 Ni
0.790 0.723 0.526 Ni
0.804 0.263 0.539 Ni
0.853 0.742 0.121 Ni
0.879 0.242 0.147 Ni
0.993 0.060 0.629 Ni
0.014 0.876 0.602 B
0.164 0.665 0.164 B
0.249 0.612 0.677 B
0.323 0.112 0.751 B
0.398 0.376 0.986 B
0.487 0.339 0.487 B
0.513 0.839 0.513 B
0.602 0.876 0.014 B
0.677 0.612 0.249 B
0.751 0.112 0.323 B
0.836 0.165 0.836 B
0.986 0.376 0.398 B
```


The following is a r²SCAN calculation of Zr2Al3Ni after structural relaxation, from the Materials Project database.

## Properties
- Space-group type: R-3m, No. 166
- Magnetic moment: 0.0 μB per formula unit

```
Zr2Al3Ni
1.0
2.636 1.522 4.122
-2.636 1.522 4.122
0.000 -3.044 4.122
Zr Al Ni
2 3 1
direct
0.126 0.126 0.126 Zr
0.874 0.874 0.874 Zr
0.000 0.500 0.500 Al
0.500 0.000 0.500 Al
0.500 0.500 0.000 Al
0.500 0.500 0.500 Ni
```


The following is a r²SCAN calculation of Tb2MgGe2 after structural relaxation, from the Materials Project database.

## Properties
- Space-group type: P4/mbm, No. 127
- Magnetic moment: 0.0 μB per formula unit

```
Tb2MgGe2
1.0
7.270 0.000 0.000
0.000 7.270 0.000
0.000 0.000 4.245
Tb Mg Ge
4 2 4
direct
0.178 0.322 0.000 Tb
0.322 0.822 0.000 Tb
0.678 0.178 0.000 Tb
0.822 0.678 0.000 Tb
0.000 0.000 0.500 Mg
0.500 0.500 0.500 Mg
0.122 0.622 0.500 Ge
0.378 0.122 0.500 Ge
0.622 0.878 0.500 Ge
0.878 0.378 0.500 Ge
```


The following is a r²SCAN calculation of Nd2Ni12P5 after structural relaxation, from the Materials Project database.

## Properties
- Space-group type: P2_1/m, No. 11
- Magnetic moment: 0.0 μB per formula unit

```
Nd2Ni12P5
1.0
10.773 0.000 0.000
0.000 3.650 0.000
-4.006 0.000 12.397
Nd Ni P
4 24 10
direct
0.221 0.250 0.183 Nd
0.254 0.250 0.688 Nd
0.746 0.750 0.312 Nd
0.779 0.750 0.817 Nd
0.062 0.750 0.296 Ni
0.078 0.750 0.990 Ni
0.082 0.750 0.491 Ni
0.096 0.750 0.804 Ni
0.202 0.250 0.418 Ni
0.213 0.250 0.939 Ni
0.342 0.750 0.062 Ni
0.343 0.750 0.364 Ni
0.429 0.250 0.514 Ni
0.435 0.250 0.948 Ni
0.489 0.750 0.650 Ni
0.494 0.750 0.841 Ni
0.506 0.250 0.159 Ni
0.511 0.250 0.350 Ni
0.565 0.750 0.052 Ni
0.571 0.750 0.486 Ni
0.657 0.250 0.636 Ni
0.658 0.250 0.938 Ni
0.787 0.750 0.061 Ni
0.798 0.750 0.582 Ni
0.904 0.250 0.196 Ni
0.918 0.250 0.509 Ni
0.922 0.250 0.010 Ni
0.938 0.250 0.704 Ni
0.007 0.250 0.879 P
0.008 0.750 0.629 P
0.300 0.750 0.516 P
0.312 0.750 0.888 P
0.450 0.750 0.240 P
0.550 0.250 0.760 P
0.688 0.250 0.112 P
0.700 0.250 0.484 P
0.992 0.250 0.371 P
0.993 0.750 0.121 P
```


The following is a r²SCAN calculation of Si3PH9 after structural relaxation, from the Materials Project database.

## Properties
- Space-group type: P2_1/c, No. 14
- Magnetic moment: 0.0 μB per formula unit

```
Si3PH9
1.0
6.099 0.000 0.000
0.000 12.890 0.000
-0.736 0.000 9.783
Si P H
12 4 36
direct
0.102 0.115 0.336 Si
0.102 0.385 0.836 Si
0.289 0.717 0.378 Si
0.289 0.783 0.878 Si
0.298 0.038 0.799 Si
0.298 0.462 0.299 Si
0.702 0.538 0.701 Si
0.702 0.962 0.201 Si
0.711 0.217 0.122 Si
0.711 0.283 0.622 Si
0.898 0.615 0.164 Si
0.898 0.885 0.664 Si
0.268 0.615 0.192 P
0.268 0.885 0.692 P
0.732 0.115 0.308 P
0.732 0.385 0.808 P
0.143 0.048 0.908 H
0.143 0.452 0.408 H
0.156 0.676 0.487 H
0.156 0.824 0.987 H
0.173 0.213 0.404 H
0.173 0.287 0.904 H
0.176 0.026 0.422 H
0.176 0.474 0.922 H
0.200 0.108 0.202 H
0.200 0.392 0.702 H
0.206 0.679 0.835 H
0.206 0.821 0.335 H
0.251 0.122 0.697 H
0.251 0.378 0.197 H
0.474 0.551 0.640 H
0.474 0.949 0.140 H
0.477 0.225 0.069 H
0.477 0.275 0.569 H
0.523 0.725 0.431 H
0.523 0.775 0.931 H
0.526 0.051 0.860 H
0.526 0.449 0.360 H
0.749 0.622 0.803 H
0.749 0.878 0.303 H
0.794 0.179 0.665 H
0.794 0.321 0.165 H
0.800 0.608 0.298 H
0.800 0.892 0.798 H
0.824 0.526 0.078 H
0.824 0.974 0.578 H
0.827 0.713 0.096 H
0.827 0.787 0.596 H
0.844 0.176 0.013 H
0.844 0.324 0.513 H
0.857 0.548 0.592 H
0.857 0.952 0.092 H
```


The following is a r²SCAN calculation of Zr3V4Fe2 after structural relaxation, from the Materials Project database.

## Properties
- Space-group type: P-1, No. 2
- Magnetic moment: 0.2 μB per formula unit

```
Zr3V4Fe2
1.0
5.085 0.000 0.000
2.472 4.465 0.000
0.332 0.062 12.700
Zr V Fe
6 8 4
direct
0.003 0.496 0.123 Zr
0.332 0.834 0.542 Zr
0.334 0.837 0.793 Zr
0.666 0.163 0.207 Zr
0.668 0.166 0.458 Zr
0.997 0.504 0.877 Zr
0.000 0.000 0.000 V
0.000 0.500 0.500 V
0.168 0.165 0.332 V
0.332 0.336 0.667 V
0.336 0.828 0.166 V
0.664 0.172 0.834 V
0.668 0.664 0.333 V
0.832 0.835 0.668 V
0.167 0.665 0.333 Fe
0.500 0.000 0.000 Fe
0.500 0.500 0.000 Fe
0.833 0.335 0.667 Fe
```


The following is a r²SCAN calculation of La4C2I5 after structural relaxation, from the Materials Project database.

## Properties
- Space-group type: C2/m, No. 12
- Magnetic moment: 0.0 μB per formula unit

```
La4C2I5
1.0
10.203 -2.068 0.000
10.203 2.068 0.000
-2.129 0.000 8.719
La C I
4 2 5
direct
0.000 0.000 0.192 La
0.000 0.000 0.808 La
0.348 0.348 0.915 La
0.652 0.652 0.085 La
0.465 0.465 0.981 C
0.535 0.535 0.019 C
0.163 0.163 0.363 I
0.167 0.167 0.813 I
0.500 0.500 0.500 I
0.833 0.833 0.187 I
0.837 0.837 0.637 I
```


The following is a r²SCAN calculation of LaAlCu4 after structural relaxation, from the Materials Project database.

## Properties
- Space-group type: Cmmm, No. 65
- Magnetic moment: 0.0 μB per formula unit

```
LaAlCu4
1.0
2.631 -4.430 0.000
2.631 4.430 0.000
0.000 0.000 4.161
La Al Cu
1 1 4
direct
0.000 0.000 0.000 La
0.500 0.500 0.500 Al
0.000 0.500 0.500 Cu
0.334 0.666 0.000 Cu
0.500 0.000 0.500 Cu
0.666 0.334 0.000 Cu
```


The following is a r²SCAN calculation of Pr2In8Pd after structural relaxation, from the Materials Project database.

## Properties
- Space-group type: P4/mmm, No. 123
- Magnetic moment: 0.0 μB per formula unit

```
Pr2In8Pd
1.0
4.719 0.000 0.000
0.000 4.719 0.000
0.000 0.000 12.292
Pr In Pd
2 8 1
direct
0.000 0.000 0.191 Pr
0.000 0.000 0.809 Pr
0.000 0.500 0.000 In
0.000 0.500 0.378 In
0.000 0.500 0.622 In
0.500 0.000 0.000 In
0.500 0.000 0.378 In
0.500 0.000 0.622 In
0.500 0.500 0.195 In
0.500 0.500 0.805 In
0.000 0.000 0.500 Pd
```


The following is a r²SCAN calculation of Na2CrF4 after structural relaxation, from the Materials Project database.

## Properties
- Space-group type: P2_1/c, No. 14
- Magnetic moment: 4.0 μB per formula unit

```
Na2CrF4
1.0
3.339 0.000 0.000
0.000 9.326 0.000
-0.245 0.000 5.623
Na Cr F
4 2 8
direct
0.012 0.182 0.422 Na
0.012 0.318 0.922 Na
0.988 0.682 0.078 Na
0.988 0.818 0.578 Na
0.500 0.000 0.000 Cr
0.500 0.500 0.500 Cr
0.071 0.049 0.757 F
0.071 0.451 0.257 F
0.492 0.696 0.368 F
0.492 0.804 0.868 F
0.508 0.196 0.132 F
0.508 0.304 0.632 F
0.929 0.549 0.743 F
0.929 0.951 0.243 F
```


The following is a r²SCAN calculation of Cs3AsF6 after structural relaxation, from the Materials Project database.

## Properties
- Space-group type: Fm-3m, No. 225
- Magnetic moment: 0.0 μB per formula unit

```
Cs3AsF6
1.0
0.000 4.836 4.836
4.836 0.000 4.836
4.836 4.836 0.000
Cs As F
3 1 6
direct
0.000 0.000 0.000 Cs
0.250 0.250 0.250 Cs
0.750 0.750 0.750 Cs
0.500 0.500 0.500 As
0.288 0.288 0.712 F
0.288 0.712 0.288 F
0.288 0.712 0.712 F
0.712 0.288 0.288 F
0.712 0.288 0.712 F
0.712 0.712 0.288 F
```


The following is a r²SCAN calculation of ScB12 after structural relaxation, from the Materials Project database.

## Properties
- Space-group type: Fm-3m, No. 225
- Magnetic moment: 0.0 μB per formula unit

```
ScB12
1.0
0.000 3.702 3.702
3.702 0.000 3.702
3.702 3.702 0.000
Sc B
1 12
direct
0.000 0.000 0.000 Sc
0.161 0.500 0.500 B
0.161 0.500 0.839 B
0.161 0.839 0.500 B
0.500 0.161 0.500 B
0.500 0.161 0.839 B
0.500 0.500 0.161 B
0.500 0.500 0.839 B
0.500 0.839 0.161 B
0.500 0.839 0.500 B
0.839 0.161 0.500 B
0.839 0.500 0.161 B
0.839 0.500 0.500 B
```


Number 1: VASP energy -0.438 Ha/atom. Number 2: VASP energy -0.499 Ha/atom. Number 3: VASP energy -0.726 Ha/atom. Number 4: VASP energy -0.505 Ha/atom. Number 5: VASP energy -0.189 Ha/atom. Number 6: VASP energy -0.629 Ha/atom. Number 7: VASP energy -0.926 Ha/atom. Number 8: VASP energy -0.499 Ha/atom. Number 9: VASP energy -0.897 Ha/atom. Number 10: VASP energy -0.287 Ha/atom. Number 11: VASP energy -0.496 Ha/atom. Number 12: VASP energy -0.289 Ha/atom.